Density functional theory data (PBE-GGA) for a relaxed CdGeO3 crystal.

Unit cell a=3.359 b=7.561 c=7.561 alpha=130.89 beta=82.47 gamma=82.47
Fractional coordinates of all 10 atoms:
Ge (0.830, 0.738, 0.581)
O (0.278, 0.785, 0.053)
O (0.642, 0.301, 0.345)
Cd (0.641, 0.976, 0.325)
Cd (0.141, 0.325, 0.976)
O (0.179, 0.333, 0.682)
O (0.778, 0.053, 0.785)
O (0.142, 0.345, 0.301)
O (0.679, 0.682, 0.333)
Ge (0.330, 0.581, 0.738)

- SG: Cc
- E_tot: -0.177 hartree per atom
- Calculated density: 5.617 Mg/m³
- E_form: -1.153 eV per atom